First-principles (PBE) data for an optimized crystal structure of CaNdAl3O7, as listed in Materials Project.

Results
The value obtained for the formation energy from the elements is -3.548 eV per atom. The total moment is 0.0 μB per formula unit.

extended XYZ file:
```
24
Lattice="-1.7216 2.6704 -7.1455 -7.5315 0.3627 2.0731 0.6864 4.8461 1.6457" Properties=species:S:1:pos:R:3 pbc="T T T"
O -0.7850 3.8194 0.4613
O -5.2668 2.6108 -0.7138
O -6.4784 5.2874 0.1560
O -3.5815 3.2802 -3.3880
O -1.6712 5.5365 -2.5826
O -2.5469 1.3189 0.4110
O -6.4323 3.6479 -4.8267
O -3.9613 6.2872 -3.8380
O -4.1883 4.5367 1.4113
O -4.0698 5.4476 -1.2012
O 0.1297 0.9159 0.3110
O -1.0912 1.8971 -1.8988
O -7.8880 3.0697 -2.5169
O -7.5038 6.0218 -3.2217
Nd -6.2324 3.2088 1.4051
Nd -2.3213 4.7623 -4.8006
Ca -5.7723 4.3461 -2.5500
Ca -2.8164 3.3772 -0.9296
Al -1.3170 0.6388 -0.6701
Al -0.8579 1.3555 -3.5659
Al -3.1462 6.4840 -2.2661
Al -7.8800 2.7901 -4.2678
Al -3.7629 0.2016 1.0434
Al -4.7923 5.8302 0.3456
```

***

First-principles (PBE) data for an optimized crystal structure of ZnSe2O10, as listed in Materials Project.

Results
The value obtained for the formation energy from the elements is -0.061 eV per atom. The total moment is 2.0 μB per formula unit.

extended XYZ file:
```
26
Lattice="7.4793 2.3694 0.0892 4.7237 -1.6703 -6.6282 1.6033 8.0699 -3.7129" Properties=species:S:1:pos:R:3 pbc="T T T"
O 9.9368 9.5386 -5.6776
O 6.9022 5.2627 -9.5084
O 7.2147 2.5368 -6.6399
O 6.4241 1.5506 -5.8698
O 10.5078 4.3551 -7.1470
O 6.1849 7.5749 -5.1760
O 6.9041 3.5063 -0.7434
O 5.3929 6.5882 -4.4058
O 3.3298 1.9334 -4.3428
O 7.3823 7.2185 -4.3821
O 5.6769 4.8714 -7.0729
O 9.3025 6.4669 -8.3732
O 8.1294 3.8977 -3.1790
O 4.5039 2.3021 -1.8786
O 6.5916 6.2322 -3.6119
O 7.6214 1.1942 -5.0759
O 8.4134 2.1808 -5.8460
O 3.8695 -0.7695 -4.5743
O 3.2986 4.4139 -3.1048
O 10.4765 6.8356 -5.9090
Zn 11.1128 3.0359 -5.8138
Zn 2.6935 5.7331 -4.4380
Se 5.5152 5.5956 -8.5682
Se 8.2911 3.1734 -1.6836
Se 4.2515 2.9976 -3.3751
Se 9.5548 5.7714 -6.8768
```

***

First-principles (PBE) data for an optimized crystal structure of Sr3Nd10Al12Si18N36O18, as listed in Materials Project.

Results
The value obtained for the formation energy from the elements is -1.973 eV per atom. The total moment is 0.0 μB per formula unit.

extended XYZ file:
```
97
Lattice="9.5440 6.7520 0.0000 -9.5440 6.7520 0.0000 0.0000 6.7387 9.5581" Properties=species:S:1:pos:R:3 pbc="T T T"
Nd 0.0000 12.8599 7.1476
Nd 3.1109 8.3993 4.0116
Nd -2.4065 7.4033 0.0212
Nd -6.4133 8.4656 5.5186
Nd 6.4133 8.4656 5.5186
Nd 0.0000 6.1131 2.4176
Nd -4.0455 11.7764 6.3850
Nd -3.1109 8.3993 4.0116
Nd 2.4065 7.4033 0.0212
Nd 4.0455 11.7764 6.3850
Si 0.0000 4.0706 0.0004
Si 6.6782 13.4886 6.6886
Si -5.1361 15.5183 8.0199
Si -1.5362 4.7155 5.1387
Si 1.5362 4.7155 5.1387
Si 0.0000 9.3004 2.8730
Si -1.5270 11.4692 4.4099
Si -6.6782 13.4886 6.6886
Si -2.8714 10.9308 9.5416
Si 2.8714 10.9308 9.5416
Si 0.0000 16.1782 9.5566
Si 5.1361 15.5183 8.0199
Si 6.6769 6.7533 2.8774
Si -6.6769 6.7533 2.8774
Si 1.5270 11.4692 4.4099
Si 5.1579 8.7907 1.5220
Si -5.1579 8.7907 1.5220
Si 0.0000 16.0513 6.6770
N 0.0000 15.1451 8.1597
N -6.6130 5.7310 1.4929
N -2.8891 12.5263 4.3140
N -4.9715 14.6827 9.5521
N -3.1391 9.9721 8.0966
N 0.0000 8.4113 1.3868
N -3.0885 3.1802 1.3765
N -8.1111 10.2708 6.4281
N 0.0000 9.9132 8.0885
N -1.5002 7.7855 6.5977
N 2.8891 12.5263 4.3140
N -1.4664 17.0773 9.5565
N 4.9715 14.6827 9.5521
N 0.0000 5.5561 4.9958
N 2.9004 5.7650 5.2649
N -1.4361 10.2712 3.1336
N 5.2334 14.4524 6.6593
N 1.3938 11.8470 9.5493
N 5.2648 7.7673 2.9139
N 0.0000 12.3025 4.5656
N -5.2334 14.4524 6.6593
N 6.6130 5.7310 1.4929
N -2.9004 5.7650 5.2649
N 1.4664 17.0773 9.5565
N -5.2648 7.7673 2.9139
N 3.0885 3.1802 1.3765
N 1.4361 10.2712 3.1336
N 1.4942 14.5381 2.9735
N 3.1391 9.9721 8.0966
N -1.3938 11.8470 9.5493
N 1.5002 7.7855 6.5977
N 6.5898 12.4559 8.0640
N 0.0000 3.1666 1.4592
N -6.5898 12.4559 8.0640
N 8.1111 10.2708 6.4281
N -1.4942 14.5381 2.9735
Al 1.5481 2.7604 2.3531
Al 0.0000 7.3148 5.6558
Al -5.6423 6.1802 0.0026
Al 5.6423 6.1802 0.0026
Al -1.5481 2.7604 2.3531
Al -1.5516 9.5121 7.1966
Al -2.3559 10.7428 1.5527
Al 2.3559 10.7428 1.5527
Al -2.3493 17.4841 8.0054
Al 1.5516 9.5121 7.1966
Al 0.0000 14.0708 3.9136
Al 2.3493 17.4841 8.0054
O -2.3739 13.4957 7.1608
O 2.3739 13.4957 7.1608
O -3.7169 16.3459 7.7666
O -1.7732 10.6526 5.8335
O 0.0000 14.8565 5.5281
O 4.0322 12.1227 9.5556
O -7.7967 10.6163 3.7413
O 0.0000 8.1159 4.0438
O 2.2949 6.8647 2.3364
O 4.7018 10.0268 4.8948
O 3.7262 9.6025 1.7787
O -4.7018 10.0268 4.8948
O 1.7732 10.6526 5.8335
O 3.7169 16.3459 7.7666
O -4.0322 12.1227 9.5556
O -2.2949 6.8647 2.3364
O 7.7967 10.6163 3.7413
O -3.7262 9.6025 1.7787
Sr 0.0000 13.5124 0.0198
Sr -5.4876 11.7774 3.0581
Sr 5.4876 11.7774 3.0581
```

***

First-principles (PBE) data for an optimized crystal structure of UCoCuSi2, as listed in Materials Project.

Results
The value obtained for the formation energy from the elements is -0.358 eV per atom. The total moment is 0.3 μB per formula unit.

extended XYZ file:
```
5
Lattice="-1.9716 1.9716 4.8447 1.9716 -1.9716 4.8447 1.9716 1.9716 -4.8447" Properties=species:S:1:pos:R:3 pbc="T T T"
Si 0.0000 0.0000 3.6779
Si 0.0000 0.0000 6.0116
U 0.0000 0.0000 0.0000
Cu 0.0000 1.9716 2.4224
Co 1.9716 0.0000 2.4224
```